1.
Material: BaNd2Ti3O10
Method: DFT, PBE-GGA
State: optimized geometry

Values from the calculation:
The volume comes out at 13.5 Å³/atom. Its energy with MP2020 corrections is -286.02 eV/cell. The magnetization comes out at 0.00 μB per formula unit. Its total energy is -8.509 eV/atom. As for the energy above the most stable polymorph in this dataset: 0.11 eV/f.u.

a b c (Å): 14.3803 14.3803 7.6940
angles (deg): 90.00 90.00 164.30
With the nearest neighbours (Å) after each atom.
Fractional coordinates of all 32 atoms:
Ti1 0.8542 0.1458 0.9949  2 O 1.77-1.96
Ti2 0.8542 0.1458 0.5051  2 O 1.77-1.96
Ti3 0.1458 0.8542 0.0051  2 O 1.77-1.96
Ti4 0.1458 0.8542 0.4949  2 O 1.77-1.96
Ti5 0.0000 0.0000 0.0000  6 O 1.94-1.99
Ti6 0.0000 0.0000 0.5000  6 O 1.94-1.99
Ba1 0.2570 0.7430 0.7500  6 O 2.70-2.71
Ba2 0.7430 0.2570 0.2500  6 O 2.70-2.71
O1 0.2069 0.7931 0.0472  1 Ti 1.77
O2 0.8532 0.1468 0.2500  2 Ti 1.96
O3 0.2069 0.7931 0.4528  1 Ti 1.77
O4 0.0664 0.9336 0.5555  1 Ti 1.94
O5 0.9824 0.0176 0.7500  2 Ti 1.99
O6 0.3696 0.6304 0.9926  2 Ti 2.01
O7 0.1223 0.8777 0.2500  2 Ti 2.00
O8 0.0664 0.9336 0.9445  1 Ti 1.94
O9 0.0176 0.9824 0.2500  2 Ti 1.99
O10 0.3696 0.6304 0.5074  2 Ti 2.01
O11 0.8777 0.1223 0.7500  2 Ti 2.00
O12 0.5000 0.5000 0.5000  2 Ti 1.96
O13 0.7931 0.2069 0.9528  1 Ti 1.77
O14 0.9336 0.0664 0.0555  1 Ti 1.94
O15 0.7931 0.2069 0.5472  1 Ti 1.77
O16 0.9336 0.0664 0.4445  1 Ti 1.94
O17 0.1468 0.8532 0.7500  2 Ti 1.96
O18 0.6304 0.3696 0.4926  2 Ti 2.01
O19 0.5000 0.5000 0.0000  2 Ti 1.96
O20 0.6304 0.3696 0.0074  2 Ti 2.01
Nd1 0.4273 0.5727 0.7500  6 O 2.42-2.51
Nd2 0.5727 0.4273 0.2500  6 O 2.42-2.51
Nd3 0.4198 0.5802 0.2500  8 O 2.44-2.73
Nd4 0.5802 0.4198 0.7500  8 O 2.44-2.73

2.
Material: BaNd2Ti3O10
Method: DFT, PBE-GGA
State: optimized geometry

Values from the calculation:
The volume comes out at 13.5 Å³/atom. Its energy with MP2020 corrections is -572.51 eV/cell. The magnetization comes out at 0.00 μB per formula unit. Its total energy is -8.516 eV/atom. As for the energy above the most stable polymorph in this dataset: 0.00 eV/f.u.

a b c (Å): 7.6760 7.7849 14.5437
angles (deg): 82.45 90.00 90.00
With the nearest neighbours (Å) after each atom.
Fractional coordinates of all 64 atoms:
O1 0.9669 0.3820 0.4162  1 Ti 1.77
O2 0.5487 0.9151 0.4103  1 Ti 1.77
O3 0.9846 0.8126 0.7486  2 Ti 1.99-2.01
O4 0.5154 0.8126 0.7486  2 Ti 1.99-2.01
O5 0.7500 0.5552 0.0154  2 Ti 1.99
O6 0.0331 0.6180 0.5838  1 Ti 1.77
O7 0.2500 0.0636 0.9782  2 Ti 2.00
O8 0.4846 0.1874 0.2514  2 Ti 1.99-2.01
O9 0.4788 0.3189 0.7274  2 Ti 2.01-2.02
O10 0.5331 0.3820 0.4162  1 Ti 1.77
O11 0.9520 0.0526 0.8684  1 Ti 1.94
O12 0.0154 0.1874 0.2514  2 Ti 1.99-2.01
O13 0.2500 0.5784 0.7476  2 Ti 2.02
O14 0.0459 0.7553 0.9800  2 Ti 2.00
O15 0.7500 0.0934 0.7061  2 Ti 1.94
O16 0.0212 0.3189 0.7274  2 Ti 2.01-2.02
O17 0.7500 0.5551 0.7140  2 Ti 1.93
O18 0.5480 0.0526 0.8684  1 Ti 1.94
O19 0.0337 0.4913 0.1319  1 Ti 1.93
O20 0.4541 0.7553 0.9800  2 Ti 2.00
O21 0.0487 0.0849 0.5897  1 Ti 1.77
O22 0.5337 0.5087 0.8681  1 Ti 1.93
O23 0.7500 0.4216 0.2524  2 Ti 2.02
O24 0.9788 0.6811 0.2726  2 Ti 2.01-2.02
O25 0.5459 0.2447 0.0200  2 Ti 2.00
O26 0.2500 0.4448 0.9846  2 Ti 1.99
O27 0.2500 0.9066 0.2939  2 Ti 1.94
O28 0.2500 0.0495 0.7567  2 Ti 2.02
O29 0.7500 0.9364 0.0218  2 Ti 2.00
O30 0.9541 0.2447 0.0200  2 Ti 2.00
O31 0.4663 0.4913 0.1319  1 Ti 1.93
O32 0.2500 0.4449 0.2860  2 Ti 1.93
O33 0.0480 0.9474 0.1316  1 Ti 1.94
O34 0.5212 0.6811 0.2726  2 Ti 2.01-2.02
O35 0.9663 0.5087 0.8681  1 Ti 1.93
O36 0.4520 0.9474 0.1316  1 Ti 1.94
O37 0.4513 0.0849 0.5897  1 Ti 1.77
O38 0.9513 0.9151 0.4103  1 Ti 1.77
O39 0.7500 0.9505 0.2433  2 Ti 2.02
O40 0.4669 0.6180 0.5838  1 Ti 1.77
Nd1 0.2500 0.2949 0.8440  6 O 2.43-2.48
Nd2 0.7500 0.7051 0.1560  6 O 2.43-2.48
Nd3 0.2500 0.7850 0.8518  6 O 2.33-2.52
Nd4 0.2500 0.2153 0.1351  8 O 2.46-2.71
Nd5 0.7500 0.2150 0.1482  6 O 2.33-2.52
Nd6 0.2500 0.7069 0.1674  8 O 2.43-2.58
Nd7 0.7500 0.2931 0.8326  8 O 2.43-2.58
Nd8 0.7500 0.7847 0.8649  8 O 2.46-2.71
Ti1 0.9981 0.9328 0.2904  2 O 1.77-1.94
Ti2 0.5019 0.9328 0.2904  2 O 1.77-1.94
Ti3 0.5000 0.0000 0.0000  6 O 1.94-2.00
Ti4 0.0019 0.0672 0.7096  2 O 1.77-1.94
Ti5 0.0000 0.0000 0.0000  6 O 1.94-2.00
Ti6 0.4996 0.4213 0.2945  2 O 1.77-1.93
Ti7 0.4981 0.0672 0.7096  2 O 1.77-1.94
Ti8 0.0000 0.5000 0.0000  6 O 1.93-2.00
Ti9 0.5000 0.5000 0.0000  6 O 1.93-2.00
Ti10 0.0004 0.4213 0.2945  2 O 1.77-1.93
Ti11 0.9996 0.5787 0.7055  2 O 1.77-1.93
Ti12 0.5004 0.5787 0.7055  2 O 1.77-1.93
Ba1 0.7500 0.1287 0.4942  6 O 2.68-2.71
Ba2 0.2500 0.3652 0.5336  6 O 2.71-2.76
Ba3 0.2500 0.8713 0.5058  6 O 2.68-2.71
Ba4 0.7500 0.6348 0.4664  6 O 2.71-2.76

3.
Material: Ba2NdUO6
Method: DFT, PBE-GGA
State: optimized geometry

Values from the calculation:
The volume comes out at 18.1 Å³/atom. Its energy with MP2020 corrections is -85.17 eV/cell. The magnetization comes out at 1.00 μB per formula unit. Its total energy is -8.105 eV/atom.

a b c (Å): 6.3496 6.3496 6.3496
angles (deg): 60.00 60.00 60.00
With the nearest neighbours (Å) after each atom.
Fractional coordinates of all 10 atoms:
Nd1 0.0000 0.0000 0.0000  6 O 2.33
U1 0.5000 0.5000 0.5000  6 O 2.16
Ba1 0.7500 0.7500 0.7500  12 O 3.18
Ba2 0.2500 0.2500 0.2500  12 O 3.18
O1 0.7400 0.7400 0.2600  1 U 2.16, 1 Nd 2.33
O2 0.7400 0.2600 0.7400  1 U 2.16, 1 Nd 2.33
O3 0.2600 0.7400 0.2600  1 U 2.16, 1 Nd 2.33
O4 0.2600 0.2600 0.7400  1 U 2.16, 1 Nd 2.33
O5 0.7400 0.2600 0.2600  1 U 2.16, 1 Nd 2.33
O6 0.2600 0.7400 0.7400  1 U 2.16, 1 Nd 2.33

4.
Material: BaNdZr2O6
Method: DFT, PBE-GGA
State: optimized geometry

Values from the calculation:
The volume comes out at 14.9 Å³/atom. Its energy with MP2020 corrections is -352.74 eV/cell. The magnetization comes out at 0.00 μB per formula unit. Its total energy is -8.406 eV/atom. As for the energy above the most stable polymorph in this dataset: 0.30 eV/f.u.

a b c (Å): 8.4190 8.4190 8.4198
angles (deg): 90.00 90.00 90.00
With the nearest neighbours (Å) after each atom.
Fractional coordinates of all 40 atoms:
Zr1 0.2522 0.2522 0.2523  6 O 2.09-2.13
Zr2 0.7478 0.7478 0.2523  6 O 2.09-2.13
Zr3 0.2522 0.2522 0.7477  6 O 2.09-2.13
Zr4 0.7478 0.2522 0.7477  6 O 2.09-2.13
Zr5 0.7478 0.7478 0.7477  6 O 2.09-2.13
Zr6 0.7478 0.2522 0.2523  6 O 2.09-2.13
Zr7 0.2522 0.7478 0.2523  6 O 2.09-2.13
Zr8 0.2522 0.7478 0.7477  6 O 2.09-2.13
Nd1 0.0000 0.5000 0.5000  12 O 2.85-2.98
Nd2 0.5000 0.5000 0.0000  12 O 2.85-2.98
Nd3 0.5000 0.5000 0.5000  12 O 2.86
Nd4 0.5000 0.0000 0.5000  12 O 2.85-2.98
Ba1 0.0000 0.0000 0.0000  12 O 3.10
Ba2 0.0000 0.0000 0.5000  12 O 2.98-3.10
Ba3 0.0000 0.5000 0.0000  12 O 2.98-3.10
Ba4 0.5000 0.0000 0.0000  12 O 2.98-3.10
O1 0.0000 0.7393 0.7392  2 Zr 2.13
O2 0.7399 0.7399 0.5000  2 Zr 2.09
O3 0.0000 0.7393 0.2608  2 Zr 2.13
O4 0.2608 0.7392 0.0000  2 Zr 2.13
O5 0.7399 0.2601 0.5000  2 Zr 2.09
O6 0.7393 0.0000 0.7392  2 Zr 2.13
O7 0.7392 0.2608 0.0000  2 Zr 2.13
O8 0.5000 0.2602 0.7398  2 Zr 2.09
O9 0.2602 0.5000 0.2602  2 Zr 2.09
O10 0.0000 0.2607 0.2608  2 Zr 2.13
O11 0.2607 0.0000 0.7392  2 Zr 2.13
O12 0.0000 0.2607 0.7392  2 Zr 2.13
O13 0.7398 0.5000 0.2602  2 Zr 2.09
O14 0.2602 0.5000 0.7398  2 Zr 2.09
O15 0.7393 0.0000 0.2608  2 Zr 2.13
O16 0.7392 0.7392 0.0000  2 Zr 2.13
O17 0.2601 0.7399 0.5000  2 Zr 2.09
O18 0.5000 0.2602 0.2602  2 Zr 2.09
O19 0.5000 0.7398 0.7398  2 Zr 2.09
O20 0.2601 0.2601 0.5000  2 Zr 2.09
O21 0.2607 0.0000 0.2608  2 Zr 2.13
O22 0.5000 0.7398 0.2602  2 Zr 2.09
O23 0.2608 0.2608 0.0000  2 Zr 2.13
O24 0.7398 0.5000 0.7398  2 Zr 2.09